Entry 1:
A plane-wave DFT calculation with meta-GGA r2SCAN was carried out for a relaxed ThMgAu2 crystal.

- Formation energy from the elements: -0.7064 eV/atom
- Space group: No. 225
- Mass density: 12.05 g cm⁻³

a b c (Å): 5.023 5.023 5.023
angles (deg): 60.00 60.00 60.00
Element x y z (fractional)
Th (0.000, 0.000, 0.000)
Mg (0.500, 0.500, 0.500)
Au (0.250, 0.250, 0.250)
Au (0.750, 0.750, 0.750)

---

Entry 2:
A plane-wave DFT calculation with meta-GGA r2SCAN was carried out for a relaxed MnTe6O13 crystal.

- Formation energy from the elements: -1.2210 eV/atom
- Space group: No. 148
- Mass density: 5.86 g cm⁻³

a b c (Å): 8.735 8.735 8.735
angles (deg): 71.66 71.66 71.66
Element x y z (fractional)
Mn (0.244, 0.244, 0.244)
Mn (0.756, 0.756, 0.756)
Te (0.030, 0.324, 0.920)
Te (0.080, 0.970, 0.676)
Te (0.166, 0.559, 0.486)
Te (0.324, 0.920, 0.030)
Te (0.441, 0.514, 0.834)
Te (0.486, 0.166, 0.559)
Te (0.514, 0.834, 0.441)
Te (0.559, 0.486, 0.166)
Te (0.676, 0.080, 0.970)
Te (0.834, 0.441, 0.514)
Te (0.920, 0.030, 0.324)
Te (0.970, 0.676, 0.080)
O (0.040, 0.137, 0.382)
O (0.102, 0.395, 0.426)
O (0.111, 0.801, 0.875)
O (0.125, 0.889, 0.199)
O (0.137, 0.382, 0.040)
O (0.194, 0.448, 0.699)
O (0.199, 0.125, 0.889)
O (0.301, 0.806, 0.552)
O (0.382, 0.040, 0.137)
O (0.395, 0.426, 0.102)
O (0.411, 0.411, 0.411)
O (0.426, 0.102, 0.395)
O (0.448, 0.699, 0.194)
O (0.552, 0.301, 0.806)
O (0.574, 0.898, 0.605)
O (0.589, 0.589, 0.589)
O (0.605, 0.574, 0.898)
O (0.618, 0.960, 0.863)
O (0.699, 0.194, 0.448)
O (0.801, 0.875, 0.111)
O (0.806, 0.552, 0.301)
O (0.863, 0.618, 0.960)
O (0.875, 0.111, 0.801)
O (0.889, 0.199, 0.125)
O (0.898, 0.605, 0.574)
O (0.960, 0.863, 0.618)

---

Entry 3:
A plane-wave DFT calculation with meta-GGA r2SCAN was carried out for a relaxed Tb4MgNi crystal.

- Formation energy from the elements: -0.2037 eV/atom
- Space group: No. 216
- Mass density: 7.56 g cm⁻³

a b c (Å): 9.630 9.630 9.630
angles (deg): 60.00 60.00 60.00
Element x y z (fractional)
Tb (0.185, 0.185, 0.815)
Tb (0.185, 0.815, 0.185)
Tb (0.185, 0.815, 0.815)
Tb (0.404, 0.404, 0.404)
Tb (0.404, 0.404, 0.788)
Tb (0.404, 0.788, 0.404)
Tb (0.562, 0.562, 0.938)
Tb (0.562, 0.938, 0.562)
Tb (0.562, 0.938, 0.938)
Tb (0.788, 0.404, 0.404)
Tb (0.815, 0.185, 0.185)
Tb (0.815, 0.185, 0.815)
Tb (0.815, 0.815, 0.185)
Tb (0.938, 0.562, 0.562)
Tb (0.938, 0.562, 0.938)
Tb (0.938, 0.938, 0.562)
Mg (0.171, 0.171, 0.171)
Mg (0.171, 0.171, 0.488)
Mg (0.171, 0.488, 0.171)
Mg (0.488, 0.171, 0.171)
Ni (0.176, 0.608, 0.608)
Ni (0.608, 0.176, 0.608)
Ni (0.608, 0.608, 0.176)
Ni (0.608, 0.608, 0.608)

---

Entry 4:
A plane-wave DFT calculation with meta-GGA r2SCAN was carried out for a relaxed ZrCoF6 crystal.

- Formation energy from the elements: -3.3293 eV/atom
- Space group: No. 148
- Mass density: 3.49 g cm⁻³

a b c (Å): 5.640 5.640 5.640
angles (deg): 59.62 59.62 59.62
Element x y z (fractional)
Zr (0.000, 0.000, 0.000)
Co (0.500, 0.500, 0.500)
F (0.189, 0.311, 0.752)
F (0.248, 0.811, 0.689)
F (0.311, 0.752, 0.189)
F (0.689, 0.248, 0.811)
F (0.752, 0.189, 0.311)
F (0.811, 0.689, 0.248)

---

Entry 5:
A plane-wave DFT calculation with meta-GGA r2SCAN was carried out for a relaxed As2Ru crystal.

- Formation energy from the elements: -0.4567 eV/atom
- Space group: No. 58
- Mass density: 8.23 g cm⁻³

a b c (Å): 5.436 6.206 3.001
angles (deg): 90.00 90.00 90.00
Element x y z (fractional)
As (0.171, 0.134, 0.000)
As (0.329, 0.634, 0.500)
As (0.671, 0.366, 0.500)
As (0.829, 0.866, 0.000)
Ru (0.000, 0.500, 0.000)
Ru (0.500, 0.000, 0.500)

---

Entry 6:
A plane-wave DFT calculation with meta-GGA r2SCAN was carried out for a relaxed TmAu crystal.

- Formation energy from the elements: -0.9786 eV/atom
- Space group: No. 221
- Mass density: 13.89 g cm⁻³

a b c (Å): 3.524 3.524 3.524
angles (deg): 90.00 90.00 90.00
Element x y z (fractional)
Tm (0.000, 0.000, 0.000)
Au (0.500, 0.500, 0.500)

---

Entry 7:
A plane-wave DFT calculation with meta-GGA r2SCAN was carried out for a relaxed GdAlCu crystal.

- Formation energy from the elements: -0.4281 eV/atom
- Space group: No. 38
- Mass density: 7.09 g cm⁻³

a b c (Å): 4.025 7.067 7.067
angles (deg): 119.95 90.00 90.00
Element x y z (fractional)
Gd (0.000, 0.000, 0.000)
Gd (0.000, 0.415, 0.832)
Gd (0.000, 0.832, 0.415)
Al (0.500, 0.185, 0.416)
Al (0.500, 0.416, 0.185)
Al (0.500, 0.647, 0.647)
Cu (0.000, 0.415, 0.415)
Cu (0.500, 0.084, 0.751)
Cu (0.500, 0.751, 0.084)

---

Entry 8:
A plane-wave DFT calculation with meta-GGA r2SCAN was carried out for a relaxed LuSi2Pd2 crystal.

- Formation energy from the elements: -0.9226 eV/atom
- Space group: No. 139
- Mass density: 8.94 g cm⁻³

a b c (Å): 5.758 5.758 5.758
angles (deg): 138.64 138.64 59.92
Element x y z (fractional)
Lu (0.000, 0.000, 0.000)
Si (0.386, 0.386, 0.000)
Si (0.614, 0.614, 0.000)
Pd (0.250, 0.750, 0.500)
Pd (0.750, 0.250, 0.500)

---

Entry 9:
A plane-wave DFT calculation with meta-GGA r2SCAN was carried out for a relaxed Ca3Pt2 crystal.

- Formation energy from the elements: -0.9108 eV/atom
- Space group: No. 148
- Mass density: 6.75 g cm⁻³

a b c (Å): 7.579 7.579 7.579
angles (deg): 70.94 70.94 70.94
Element x y z (fractional)
Ca (0.000, 0.000, 0.000)
Ca (0.152, 0.667, 0.398)
Ca (0.200, 0.200, 0.200)
Ca (0.333, 0.602, 0.848)
Ca (0.398, 0.152, 0.667)
Ca (0.602, 0.848, 0.333)
Ca (0.667, 0.398, 0.152)
Ca (0.800, 0.800, 0.800)
Ca (0.848, 0.333, 0.602)
Pt (0.046, 0.414, 0.841)
Pt (0.159, 0.954, 0.586)
Pt (0.414, 0.841, 0.046)
Pt (0.586, 0.159, 0.954)
Pt (0.841, 0.046, 0.414)
Pt (0.954, 0.586, 0.159)

---

Entry 10:
A plane-wave DFT calculation with meta-GGA r2SCAN was carried out for a relaxed TmAl3 crystal.

- Formation energy from the elements: -0.4538 eV/atom
- Space group: No. 194
- Mass density: 5.53 g cm⁻³

a b c (Å): 6.145 6.145 4.591
angles (deg): 90.00 90.00 120.00
Element x y z (fractional)
Tm (0.333, 0.667, 0.250)
Tm (0.667, 0.333, 0.750)
Al (0.149, 0.297, 0.750)
Al (0.149, 0.851, 0.750)
Al (0.297, 0.149, 0.250)
Al (0.703, 0.851, 0.750)
Al (0.851, 0.149, 0.250)
Al (0.851, 0.703, 0.250)

---

Entry 11:
A plane-wave DFT calculation with meta-GGA r2SCAN was carried out for a relaxed Hg crystal.

- Formation energy from the elements: 0.0063 eV/atom
- Space group: No. 2
- Offset from the most stable computed form: 6 meV per atom
- Mass density: 12.05 g cm⁻³

a b c (Å): 3.321 3.410 8.295
angles (deg): 95.86 96.63 115.57
Element x y z (fractional)
Hg (0.000, 0.000, 0.000)
Hg (0.414, 0.259, 0.665)
Hg (0.586, 0.741, 0.335)

---

Entry 12:
A plane-wave DFT calculation with meta-GGA r2SCAN was carried out for a relaxed Sc3FeC4 crystal.

- Formation energy from the elements: -0.4813 eV/atom
- Space group: No. 71
- Mass density: 4.41 g cm⁻³

a b c (Å): 6.576 6.576 6.576
angles (deg): 149.65 141.04 50.17
Element x y z (fractional)
Sc (0.000, 0.000, 0.000)
Sc (0.311, 0.811, 0.500)
Sc (0.689, 0.189, 0.500)
Fe (0.500, 0.500, 0.000)
C (0.043, 0.376, 0.667)
C (0.290, 0.624, 0.667)
C (0.710, 0.376, 0.333)
C (0.957, 0.624, 0.333)

---

Which formula does entry 3 have?
Tb4MgNi

---

Which of these has the highest mass density?
TmAu

---

Number 6 is which compound?
TmAu